This record from the Materials Project describes crystalline SiC at its relaxed geometry. The functional is r2SCAN.

Cell and atoms, written as POSCAR:
```
SiC
1.0
-1.4354 2.3263 -1.4109
0.3330 -2.6996 -1.4366
-39.5363 -13.9992 17.1424
Si C
18 18
direct
0.0000 0.0000 0.2222
0.6667 0.3333 0.3333
0.3333 0.6667 0.7222
0.6667 0.3333 0.5555
0.0000 0.0000 0.4444
0.3333 0.6667 0.2778
0.0000 0.0000 0.6667
0.3333 0.6667 0.0555
0.3333 0.6667 0.6111
0.6667 0.3333 0.8889
0.0000 0.0000 0.8333
0.3333 0.6667 0.9444
0.6667 0.3333 0.1111
0.0000 0.0000 0.0000
0.3333 0.6667 0.1666
0.6667 0.3333 0.7777
0.3333 0.6667 0.3889
0.3333 0.6667 0.5000
0.3333 0.6667 0.5416
0.6667 0.3333 0.9306
0.0000 0.0000 0.0417
0.6667 0.3333 0.5973
0.0000 0.0000 0.2640
0.3333 0.6667 0.2083
0.3333 0.6667 0.4305
0.0000 0.0000 0.7085
0.6667 0.3333 0.1529
0.3333 0.6667 0.9860
0.3333 0.6667 0.7639
0.3333 0.6667 0.0972
0.3333 0.6667 0.3194
0.0000 0.0000 0.4862
0.6667 0.3333 0.8194
0.3333 0.6667 0.6527
0.0000 0.0000 0.8751
0.6667 0.3333 0.3751
```

Calculated values
The calculation puts the formation enthalpy at 0 K at -0.31 eV per atom. The offset from the most stable computed form comes out at 0.0002 eV per atom.

---

This record from the Materials Project describes crystalline NdSi3Os at its relaxed geometry. The functional is r2SCAN.

Cell and atoms, written as POSCAR:
```
NdSi3Os
1.0
-2.1213 2.1213 4.9700
2.1213 -2.1213 4.9700
2.1213 2.1213 -4.9700
Nd Si Os
1 3 1
direct
0.9981 0.9981 0.0000
0.4196 0.4196 0.0000
0.2606 0.7607 0.5000
0.7607 0.2606 0.5000
0.6549 0.6549 0.0000
```

Calculated values
The calculation puts the formation enthalpy at 0 K at -0.66 eV per atom.

---

This record from the Materials Project describes crystalline TmCdAu at its relaxed geometry. The functional is r2SCAN.

Cell and atoms, written as POSCAR:
```
TmCdAu
1.0
-2.8541 2.2767 -1.3928
2.0548 5.5343 4.8355
3.1209 -0.3428 -6.9553
Tm Cd Au
3 3 3
direct
0.0000 0.4054 0.4054
0.0000 0.0000 0.5946
0.0000 0.5946 0.0000
0.5000 0.7394 0.7394
0.5000 0.0000 0.2606
0.5000 0.2606 0.0000
0.5000 0.6667 0.3333
0.5000 0.3333 0.6667
0.0000 0.0000 0.0000
```

Calculated values
The calculation puts the formation enthalpy at 0 K at -0.72 eV per atom.

---

This record from the Materials Project describes crystalline Be2Ru at its relaxed geometry. The functional is r2SCAN.

Cell and atoms, written as POSCAR:
```
Be2Ru
1.0
-2.1650 -3.7499 0.0000
-2.1650 3.7499 0.0000
0.0000 0.0000 -7.0268
Be Ru
8 4
direct
0.0000 0.0000 0.5000
0.0000 0.0000 0.0000
0.1693 0.3385 0.7500
0.1693 0.8307 0.7500
0.6615 0.8307 0.7500
0.8307 0.6615 0.2500
0.8307 0.1693 0.2500
0.3385 0.1693 0.2500
0.6667 0.3333 0.5617
0.3333 0.6667 0.4383
0.3333 0.6667 0.0618
0.6667 0.3333 0.9382
```

Calculated values
The calculation puts the formation enthalpy at 0 K at -0.34 eV per atom.

---

This record from the Materials Project describes crystalline CaInAu at its relaxed geometry. The functional is r2SCAN.

Cell and atoms, written as POSCAR:
```
CaInAu
1.0
-2.8046 -0.6708 -3.6296
3.9892 -5.9151 -1.9892
-4.9162 -4.8975 4.7039
Ca In Au
4 4 4
direct
0.7500 0.9766 0.6854
0.2500 0.0234 0.3146
0.7500 0.4766 0.8146
0.2500 0.5234 0.1854
0.7500 0.3404 0.4350
0.2500 0.1596 0.9350
0.2500 0.6596 0.5650
0.7500 0.8404 0.0650
0.2500 0.7738 0.8828
0.2500 0.2738 0.6172
0.7500 0.7262 0.3828
0.7500 0.2262 0.1172
```

Calculated values
The calculation puts the formation enthalpy at 0 K at -0.77 eV per atom.

---

This record from the Materials Project describes crystalline PrP3O9 at its relaxed geometry. The functional is r2SCAN.

Cell and atoms, written as POSCAR:
```
PrP3O9
1.0
2.4946 6.6197 -0.1438
-6.3841 0.4752 3.0137
3.0410 -1.0027 6.6000
Pr P O
2 6 18
direct
0.6243 0.6243 0.5000
0.3757 0.3757 0.0000
0.1656 0.8166 0.4535
0.8344 0.1834 0.9535
0.8166 0.1656 0.5465
0.1834 0.8344 0.0465
0.2482 0.2482 0.5000
0.7518 0.7518 0.0000
0.2473 0.0303 0.5410
0.7527 0.9697 0.0410
0.0303 0.2473 0.4590
0.9697 0.7527 0.9590
0.3267 0.3649 0.6671
0.6733 0.6351 0.1671
0.3649 0.3267 0.3329
0.6351 0.6733 0.8329
0.2822 0.6754 0.0388
0.7178 0.3246 0.5388
0.6754 0.2822 0.9612
0.3246 0.7178 0.4612
0.2789 0.0257 0.9626
0.7211 0.9743 0.4626
0.0257 0.2789 0.0374
0.9743 0.7211 0.5374
0.1256 0.8744 0.2500
0.8744 0.1256 0.7500
```

Calculated values
The calculation puts the formation enthalpy at 0 K at -2.74 eV per atom.

---

This record from the Materials Project describes crystalline Tm2CuRu at its relaxed geometry. The functional is r2SCAN.

Cell and atoms, written as POSCAR:
```
Tm2CuRu
1.0
0.0000 3.3572 3.3572
3.3572 0.0000 3.3572
3.3572 3.3572 0.0000
Tm Cu Ru
2 1 1
direct
0.0000 0.0000 0.0000
0.5000 0.5000 0.5000
0.2500 0.2500 0.2500
0.7500 0.7500 0.7500
```

Calculated values
The calculation puts the formation enthalpy at 0 K at -0.43 eV per atom.

---

This record from the Materials Project describes crystalline PmN at its relaxed geometry. The functional is r2SCAN.

Cell and atoms, written as POSCAR:
```
PmN
1.0
-2.3007 -1.9667 1.9582
-3.2270 -0.8724 -1.3494
-0.7017 -3.4109 -0.9320
Pm N
1 1
direct
0.0000 0.0000 0.0000
0.5000 0.5000 0.5000
```

Calculated values
The calculation puts the formation enthalpy at 0 K at -1.73 eV per atom.

---

In μB/f.u., the total magnetic moment values for the records above are, in order, 0.00 0.00 0.00 0.00 0.00 0.00 0.00 0.00.